# 1
First-principles (PBE-GGA) data for crystalline LuMnSi at its relaxed geometry, as listed in Materials Project.

Energy relative to the elements ... -0.53 eV/atom
Calculated volume ... 205 Å³ per cell
Corrected total energy (MP2020 scheme) ... -6.897 eV per atom

a b c (Å): 6.792 4.012 7.530
angles (deg): 90.00 90.00 90.00
Space group Pnma (No. 62)
Unique sites:
Lu  0.014  0.250  0.185 x4
Mn  0.141  0.250  0.558 x4
Si  0.216  0.750  0.386 x4

# 2
First-principles (PBE-GGA) data for crystalline K2Se3 at its relaxed geometry, as listed in Materials Project.

Energy relative to the elements ... -1.08 eV/atom
Calculated volume ... 640 Å³ per cell
Corrected total energy (MP2020 scheme) ... -3.624 eV per atom
Piezoelectric modulus e_max ... 0.4 C/m²

a b c (Å): 7.685 10.747 7.752
angles (deg): 90.00 90.00 90.00
Space group Cmc2_1 (No. 36)
Unique sites:
K  0.000  0.088  0.000 x4
K  0.000  0.402  0.779 x4
Se  0.000  0.293  0.332 x4
Se  0.248  0.340  0.150 x8

# 3
First-principles (PBE-GGA) data for crystalline H4Pd3 at its relaxed geometry, as listed in Materials Project.

Energy relative to the elements ... 0.05 eV/atom
Calculated volume ... 64 Å³ per cell

a b c (Å): 3.099 3.099 6.691
angles (deg): 90.00 90.00 90.00
Space group P4mm (No. 99)
Unique sites:
H  0.000  0.500  0.000 x2
H  0.000  0.500  0.450 x2
Pd  0.000  0.000  0.290 x1
Pd  0.000  0.000  0.879 x1
Pd  0.500  0.500  0.597 x1

# 4
First-principles (PBE-GGA) data for crystalline NaSrTbBiO6 at its relaxed geometry, as listed in Materials Project.

Energy relative to the elements ... -2.31 eV/atom
Calculated volume ... 645 Å³ per cell
Corrected total energy (MP2020 scheme) ... -6.429 eV per atom
ΔE to the lowest computed polymorph ... 64 meV per atom

a b c (Å): 8.642 8.642 8.642
angles (deg): 90.00 90.00 90.00
Space group F-43m (No. 216)
Unique sites:
Na  0.000  0.000  0.000 x4
Sr  0.000  0.000  0.500 x4
Tb  0.250  0.250  0.750 x4
Bi  0.250  0.250  0.250 x4
O  0.007  0.250  0.250 x24

# 5
First-principles (PBE-GGA) data for crystalline Sr2YTiCu2O7 at its relaxed geometry, as listed in Materials Project.

Energy relative to the elements ... -2.74 eV/atom
Calculated volume ... 364 Å³ per cell
Corrected total energy (MP2020 scheme) ... -7.402 eV per atom

a b c (Å): 5.528 5.658 12.272
angles (deg): 76.69 77.05 89.99
Space group P1 (No. 1)
Unique sites:
Sr  0.000  0.000  0.000 x1
Sr  0.219  0.218  0.563 x1
Sr  0.500  0.449  0.000 x1
Sr  0.720  0.667  0.563 x1
Y  0.369  0.333  0.282 x1
Y  0.869  0.834  0.282 x1
Ti  0.072  0.659  0.781 x1
Ti  0.572  0.009  0.782 x1
Cu  0.307  0.775  0.405 x1
Cu  0.430  0.891  0.158 x1
Cu  0.807  0.269  0.405 x1
Cu  0.930  0.398  0.158 x1
O  0.047  0.530  0.408 x1
O  0.063  0.028  0.412 x1
O  0.093  0.453  0.912 x1
O  0.173  0.136  0.156 x1
O  0.194  0.638  0.151 x1
O  0.219  0.586  0.650 x1
O  0.228  0.959  0.782 x1
O  0.547  0.512  0.407 x1
O  0.563  0.008  0.413 x1
O  0.591  0.083  0.913 x1
O  0.673  0.155  0.156 x1
O  0.694  0.659  0.151 x1
O  0.721  0.212  0.651 x1
O  0.728  0.708  0.783 x1

# 6
First-principles (PBE-GGA) data for crystalline MgSi2 at its relaxed geometry, as listed in Materials Project.

Energy relative to the elements ... 0.21 eV/atom
Calculated volume ... 413 Å³ per cell
Corrected total energy (MP2020 scheme) ... -3.938 eV per atom
ΔE to the lowest computed polymorph ... 134 meV per atom

a b c (Å): 9.613 3.559 12.264
angles (deg): 90.00 100.35 90.00
Space group Cm (No. 8)
Unique sites:
Mg  0.000  0.000  0.000 x2
Mg  0.000  0.500  0.388 x2
Mg  0.379  0.000  0.783 x2
Mg  0.442  0.500  0.580 x2
Si  0.104  0.000  0.792 x2
Si  0.130  0.000  0.224 x2
Si  0.171  0.500  0.640 x2
Si  0.208  0.500  0.913 x2
Si  0.218  0.000  0.500 x2
Si  0.240  0.500  0.117 x2
Si  0.270  0.500  0.362 x2
Si  0.426  0.000  0.161 x2

# 7
First-principles (PBE-GGA) data for crystalline Mg14MnFe at its relaxed geometry, as listed in Materials Project.

Energy relative to the elements ... 0.13 eV/atom
Calculated volume ... 339 Å³ per cell
ΔE to the lowest computed polymorph ... 11 meV per atom

a b c (Å): 6.2894 6.2894 9.8859
angles (deg): 90.00 90.00 120.00
Space group P-6m2 (No. 187)
Unique sites:
Mg  0.0000  0.0000  0.2492 x2
Mg  0.0131  0.5066  0.2522 x6
Mg  0.3327  0.1664  0.5000 x3
Mg  0.3338  0.1669  0.0000 x3
Mn  0.3333  0.6667  0.0000 x1
Fe  0.3333  0.6667  0.5000 x1

# 8
First-principles (PBE-GGA) data for crystalline Li2Sn5 at its relaxed geometry, as listed in Materials Project.

Energy relative to the elements ... -0.18 eV/atom
Calculated volume ... 338 Å³ per cell

a b c (Å): 10.346 10.346 3.159
angles (deg): 90.00 90.00 90.00
Space group P4/mbm (No. 127)
Unique sites:
Li  0.175  0.325  0.000 x4
Sn  0.000  0.500  0.500 x2
Sn  0.068  0.795  0.500 x8

# 9
First-principles (PBE-GGA) data for crystalline PrNi12B6 at its relaxed geometry, as listed in Materials Project.

Energy relative to the elements ... -0.39 eV/atom
Calculated volume ... 785 Å³ per cell

a b c (Å): 9.601 7.410 11.038
angles (deg): 90.00 90.00 90.00
Space group Cmc2_1 (No. 36)
Unique sites:
Pr  0.000  0.165  0.000 x4
Ni  0.000  0.221  0.600 x4
Ni  0.000  0.433  0.419 x4
Ni  0.132  0.327  0.236 x8
Ni  0.132  0.343  0.776 x8
Ni  0.133  0.013  0.757 x8
Ni  0.182  0.188  0.438 x8
Ni  0.193  0.467  0.569 x8
B  0.000  0.165  0.336 x4
B  0.000  0.485  0.660 x4
B  0.206  0.194  0.624 x8
B  0.214  0.461  0.387 x8

# 10
First-principles (PBE-GGA) data for crystalline Cs2LiI3 at its relaxed geometry, as listed in Materials Project.

Energy relative to the elements ... -1.62 eV/atom
Calculated volume ... 1139 Å³ per cell
Corrected total energy (MP2020 scheme) ... -2.996 eV per atom

a b c (Å): 4.982 25.773 8.869
angles (deg): 90.00 90.00 90.00
Space group Cmc2_1 (No. 36)
Unique sites:
Cs  0.000  0.010  0.000 x4
Cs  0.000  0.176  0.495 x4
Li  0.000  0.349  0.504 x4
I  0.000  0.205  0.014 x4
I  0.000  0.410  0.245 x4
I  0.000  0.414  0.758 x4

# 11
First-principles (PBE-GGA) data for crystalline Ga3As at its relaxed geometry, as listed in Materials Project.

Energy relative to the elements ... 0.06 eV/atom
Calculated volume ... 80 Å³ per cell

a b c (Å): 4.310 4.310 4.310
angles (deg): 90.00 90.00 90.00
Space group Pm-3m (No. 221)
Unique sites:
Ga  0.000  0.000  0.500 x3
As  0.500  0.500  0.500 x1

# 12
First-principles (PBE-GGA) data for crystalline Na5NbIn3SiP5O24 at its relaxed geometry, as listed in Materials Project.

Energy relative to the elements ... -2.62 eV/atom
Calculated volume ... 1615 Å³ per cell
Corrected total energy (MP2020 scheme) ... -7.137 eV per atom

a b c (Å): 9.059 9.060 22.717
angles (deg): 89.90 89.86 60.02
Space group P1 (No. 1)
Unique sites:
Na  0.000  0.000  0.000 x1
Na  0.000  0.013  0.488 x1
Na  0.010  0.642  0.236 x1
Na  0.032  0.678  0.573 x1
Na  0.305  0.042  0.573 x1
Na  0.322  0.357  0.663 x1
Na  0.334  0.353  0.155 x1
Na  0.346  0.976  0.909 x1
Na  0.371  0.010  0.238 x1
Na  0.627  0.015  0.745 x1
Na  0.629  0.382  0.239 x1
Na  0.666  0.677  0.328 x1
Na  0.668  0.315  0.572 x1
Na  0.688  0.356  0.912 x1
Na  0.689  0.667  0.827 x1
Nb  0.001  0.011  0.845 x1
Nb  0.008  0.007  0.344 x1
Nb  0.334  0.342  0.009 x1
In  0.003  0.009  0.137 x1
In  0.005  0.011  0.643 x1
In  0.326  0.351  0.807 x1
In  0.335  0.347  0.311 x1
In  0.336  0.345  0.501 x1
In  0.668  0.677  0.171 x1
In  0.668  0.678  0.471 x1
In  0.669  0.671  0.679 x1
In  0.677  0.677  0.975 x1
Si  0.038  0.348  0.905 x1
Si  0.298  0.714  0.239 x1
Si  0.628  0.050  0.904 x1
P  0.003  0.301  0.241 x1
P  0.004  0.717  0.739 x1
P  0.031  0.649  0.406 x1
P  0.299  0.011  0.740 x1
P  0.332  0.637  0.907 x1
P  0.334  0.043  0.406 x1
P  0.369  0.980  0.072 x1
P  0.373  0.677  0.574 x1
P  0.642  0.342  0.406 x1
P  0.666  0.377  0.073 x1
P  0.668  0.975  0.575 x1
P  0.708  0.306  0.741 x1
P  0.712  0.012  0.241 x1
P  0.965  0.383  0.574 x1
P  0.972  0.675  0.075 x1
O  0.016  0.830  0.399 x1
O  0.020  0.791  0.680 x1
O  0.035  0.193  0.186 x1
O  0.039  0.160  0.899 x1
O  0.113  0.382  0.847 x1
O  0.114  0.544  0.351 x1
O  0.138  0.576  0.463 x1
O  0.146  0.362  0.567 x1
O  0.153  0.510  0.065 x1
O  0.162  0.541  0.744 x1
O  0.163  0.320  0.248 x1
O  0.167  0.031  0.399 x1
O  0.168  0.817  0.899 x1
O  0.171  0.313  0.961 x1
O  0.171  0.797  0.185 x1
O  0.187  0.010  0.075 x1
O  0.191  0.837  0.578 x1
O  0.192  0.843  0.297 x1
O  0.194  0.001  0.794 x1
O  0.205  0.029  0.681 x1
O  0.301  0.550  0.961 x1
O  0.302  0.149  0.463 x1
O  0.323  0.523  0.246 x1
O  0.324  0.167  0.743 x1
O  0.352  0.516  0.567 x1
O  0.355  0.127  0.350 x1
O  0.357  0.160  0.064 x1
O  0.376  0.526  0.852 x1
O  0.451  0.714  0.519 x1
O  0.454  0.873  0.017 x1
O  0.473  0.908  0.130 x1
O  0.476  0.846  0.742 x1
O  0.480  0.670  0.916 x1
O  0.482  0.709  0.239 x1
O  0.486  0.640  0.629 x1
O  0.488  0.863  0.410 x1
O  0.499  0.364  0.065 x1
O  0.506  0.155  0.568 x1
O  0.524  0.126  0.844 x1
O  0.529  0.164  0.249 x1
O  0.529  0.188  0.959 x1
O  0.533  0.317  0.746 x1
O  0.535  0.365  0.351 x1
O  0.568  0.310  0.463 x1
O  0.636  0.481  0.130 x1
O  0.636  0.900  0.633 x1
O  0.641  0.868  0.913 x1
O  0.664  0.499  0.410 x1
O  0.685  0.462  0.017 x1
O  0.702  0.478  0.743 x1
O  0.702  0.856  0.522 x1
O  0.709  0.842  0.239 x1
O  0.782  0.055  0.187 x1
O  0.783  0.204  0.683 x1
O  0.817  0.042  0.899 x1
O  0.821  0.178  0.399 x1
O  0.821  0.196  0.076 x1
O  0.825  0.200  0.795 x1
O  0.828  0.994  0.295 x1
O  0.828  0.998  0.579 x1
O  0.831  0.720  0.742 x1
O  0.839  0.478  0.239 x1
O  0.841  0.490  0.913 x1
O  0.850  0.460  0.520 x1
O  0.851  0.675  0.410 x1
O  0.861  0.698  0.021 x1
O  0.889  0.496  0.629 x1
O  0.904  0.642  0.133 x1
O  0.980  0.207  0.296 x1
O  0.987  0.201  0.579 x1
O  0.991  0.839  0.791 x1
O  0.997  0.831  0.076 x1